Record 1
BaSr2Sn3O9 | PBE | relaxed

POSCAR file:
```
BaSr2Sn3O9
1.0
-0.6660 -3.8780 -4.3156
4.0363 -0.3576 -4.2057
7.1322 -9.7640 7.6064
Sn O Sr Ba
6 18 4 2
Direct
0.6670 0.6658 0.9183 Sn
0.0008 0.9984 0.7526 Sn
0.6669 0.6663 0.4157 Sn
0.0016 0.9992 0.2474 Sn
0.3337 0.3331 0.5843 Sn
0.3342 0.3330 0.0817 Sn
0.2428 0.0895 0.1637 O
0.8017 0.3080 0.8477 O
0.3513 0.8693 0.8267 O
0.1194 0.2132 0.6683 O
0.7868 0.8806 0.3317 O
0.6383 0.1615 0.6824 O
0.9105 0.7572 0.8363 O
0.9728 0.4642 0.0136 O
0.1307 0.6487 0.1733 O
0.3045 0.8274 0.3461 O
0.4681 0.9849 0.5081 O
0.0151 0.5319 0.4919 O
0.8385 0.3617 0.3176 O
0.4238 0.5762 0.0000 O
0.6920 0.1983 0.1523 O
0.5358 0.0272 0.9864 O
0.5689 0.4311 0.5000 O
0.1726 0.6955 0.6539 O
0.3444 0.3227 0.8352 Sr
0.6773 0.6556 0.1648 Sr
0.9933 0.0067 0.0000 Sr
0.0098 0.9902 0.5000 Sr
0.3318 0.3344 0.3330 Ba
0.6656 0.6682 0.6670 Ba
```

Energy of formation in eV per atom: -2.609
VASP energy in eV/atom: -6.321
Calculated volume in Å³ per cell: 423.6

Record 2
BaSrSn2O6 | PBE | relaxed

POSCAR file:
```
BaSrSn2O6
1.0
0.0000 4.1516 4.1516
4.1516 0.0000 4.1516
4.1516 4.1516 0.0000
O Sr Sn Ba
6 1 2 1
Direct
0.0000 0.0000 0.5000 O
0.0000 0.5000 0.0000 O
0.0000 0.5000 0.5000 O
0.5000 0.0000 0.5000 O
0.5000 0.5000 0.0000 O
0.5000 0.0000 0.0000 O
0.0000 0.0000 0.0000 Sr
0.2500 0.2500 0.2500 Sn
0.7500 0.7500 0.7500 Sn
0.5000 0.5000 0.5000 Ba
```

Energy of formation in eV per atom: -2.584
E above lowest polymorph in meV/atom: 4.3
VASP energy in eV/atom: -6.304
Calculated volume in Å³ per cell: 143.1

Record 3
BaSrSn2O6 | PBE | relaxed

POSCAR file:
```
BaSrSn2O6
1.0
4.1464 0.0000 0.0000
0.0000 4.1464 0.0000
0.0000 0.0000 8.2949
O Ba Sr Sn
6 1 1 2
Direct
0.0000 0.5000 0.2567 O
0.0000 0.0000 0.5000 O
0.0000 0.5000 0.7433 O
0.5000 0.0000 0.2567 O
0.5000 0.0000 0.7433 O
0.0000 0.0000 0.0000 O
0.5000 0.5000 0.0000 Ba
0.5000 0.5000 0.5000 Sr
0.0000 0.0000 0.7472 Sn
0.0000 0.0000 0.2528 Sn
```

Energy of formation in eV per atom: -2.589
E above lowest polymorph in meV/atom: 0.0
VASP energy in eV/atom: -6.308
Calculated volume in Å³ per cell: 142.6

Record 4
BaSrTbSnO6 | PBE | relaxed

POSCAR file:
```
BaSrTbSnO6
1.0
3.3487 2.1849 -4.5791
-2.7195 2.3350 -4.9099
0.2042 5.9879 -1.0288
O Ba Tb Sn Sr
6 1 1 1 1
Direct
0.2407 0.7593 0.2407 O
0.7593 0.7593 0.2407 O
0.7593 0.2407 0.7593 O
0.2407 0.2407 0.7593 O
0.7593 0.2407 0.2407 O
0.2407 0.7593 0.7593 O
0.7500 0.7500 0.7500 Ba
0.5000 0.5000 0.5000 Tb
0.0000 0.0000 0.0000 Sn
0.2500 0.2500 0.2500 Sr
```

Energy of formation in eV per atom: -2.874
E above lowest polymorph in meV/atom: 23.6
VASP energy in eV/atom: -6.656
Calculated volume in Å³ per cell: 158.9

Record 5
BaSrTbSnO6 | PBE | relaxed

POSCAR file:
```
BaSrTbSnO6
1.0
8.5578 0.0000 0.0000
0.0000 8.5547 0.0000
0.0000 0.0000 8.5659
Sr O Tb Ba Sn
4 24 4 4 4
Direct
0.5000 0.0000 0.5000 Sr
0.5000 0.0000 0.0000 Sr
0.5000 0.5000 0.0000 Sr
0.0000 0.5000 0.5000 Sr
0.4907 0.7141 0.2153 O
0.2282 0.2738 0.9896 O
0.7796 0.5101 0.7138 O
0.7132 0.2162 0.4899 O
0.0109 0.2281 0.7282 O
0.7132 0.7838 0.5101 O
0.2204 0.4899 0.7138 O
0.9891 0.7719 0.7282 O
0.2868 0.7838 0.4899 O
0.9891 0.2281 0.2718 O
0.2820 0.9898 0.2189 O
0.7180 0.9898 0.7811 O
0.7796 0.4899 0.2862 O
0.2204 0.5101 0.2862 O
0.5093 0.7141 0.7847 O
0.2282 0.7262 0.0104 O
0.2820 0.0102 0.7811 O
0.5093 0.2859 0.2153 O
0.2868 0.2162 0.5101 O
0.4907 0.2859 0.7847 O
0.7718 0.2738 0.0104 O
0.0109 0.7719 0.2718 O
0.7718 0.7262 0.9896 O
0.7180 0.0102 0.2189 O
0.7473 0.7499 0.2512 Tb
0.7473 0.2501 0.7488 Tb
0.2527 0.7499 0.7488 Tb
0.2527 0.2501 0.2512 Tb
0.0000 0.0000 0.0000 Ba
0.5000 0.5000 0.5000 Ba
0.0000 0.0000 0.5000 Ba
0.0000 0.5000 0.0000 Ba
0.2533 0.7496 0.2511 Sn
0.2533 0.2504 0.7489 Sn
0.7467 0.2504 0.2511 Sn
0.7467 0.7496 0.7489 Sn
```

Energy of formation in eV per atom: -2.898
E above lowest polymorph in meV/atom: 0.0
VASP energy in eV/atom: -6.679
Calculated volume in Å³ per cell: 627.1

Record 6
BaSrZrSnO6 | PBE | relaxed

POSCAR file:
```
BaSrZrSnO6
1.0
5.2737 -1.7006 -2.0857
0.4014 -4.7424 -3.5217
1.2703 0.6765 -5.7431
O Sr Ba Zr Sn
6 1 1 1 1
Direct
0.2485 0.7515 0.7515 O
0.7515 0.7515 0.2485 O
0.2485 0.7515 0.2485 O
0.7515 0.2485 0.7515 O
0.2485 0.2485 0.7515 O
0.7515 0.2485 0.2485 O
0.2500 0.2500 0.2500 Sr
0.7500 0.7500 0.7500 Ba
0.5000 0.5000 0.5000 Zr
0.0000 0.0000 0.0000 Sn
```

Energy of formation in eV per atom: -3.129
VASP energy in eV/atom: -7.302
Calculated volume in Å³ per cell: 146.8

Record 7
Ba2Tl2Zn3Sn4O12 | PBE | relaxed

POSCAR file:
```
Ba2Tl2Zn3Sn4O12
1.0
-5.7319 6.1674 24.2893
-9.5262 9.4804 21.9142
5.7681 -9.8934 -23.0155
Sn O Tl Zn Ba
4 12 2 3 2
Direct
0.6197 0.6197 0.0000 Sn
0.4589 0.4589 0.0000 Sn
0.5411 0.5411 0.0000 Sn
0.3803 0.3803 0.0000 Sn
0.6880 0.6880 0.0000 O
0.3659 0.8659 0.5000 O
0.6341 0.1341 0.5000 O
0.7680 0.7680 0.0000 O
0.5630 0.0630 0.5000 O
0.3120 0.3120 0.0000 O
0.2320 0.2320 0.0000 O
0.1341 0.6341 0.5000 O
0.8659 0.3659 0.5000 O
0.9370 0.4370 0.5000 O
0.0630 0.5630 0.5000 O
0.4370 0.9370 0.5000 O
0.2724 0.2724 0.0000 Tl
0.7276 0.7276 0.0000 Tl
0.9267 0.9267 0.0000 Zn
0.0733 0.0733 0.0000 Zn
0.0000 0.0000 0.0000 Zn
0.1707 0.1707 0.0000 Ba
0.8293 0.8293 0.0000 Ba
```

Energy of formation in eV per atom: -1.582
VASP energy in eV/atom: -5.039
Calculated volume in Å³ per cell: 396.3

Record 8
Ba2Tl2Zn2Sn3O10 | PBE | relaxed

POSCAR file:
```
Ba2Tl2Zn2Sn3O10
1.0
-2.6363 3.1639 0.0841
-3.0523 -2.4029 -1.8732
-8.0517 -4.6289 16.6825
Sn O Zn Ba Tl
3 10 2 2 2
Direct
0.5827 0.5748 0.9831 Sn
0.6408 0.6254 0.8219 Sn
0.4667 0.3352 0.1796 Sn
0.5157 0.8195 0.1563 O
0.9806 0.2560 0.1622 O
0.9962 0.2065 0.5791 O
0.7425 0.7756 0.4324 O
0.4103 0.3224 0.2858 O
0.6586 0.6476 0.7174 O
0.1377 0.6733 0.8470 O
0.6967 0.1380 0.8283 O
0.7243 0.0976 0.9982 O
0.1076 0.6201 0.0274 O
0.9482 0.9350 0.0916 Zn
0.9812 0.0294 0.9062 Zn
0.9138 0.8188 0.3040 Ba
0.2195 0.1557 0.6993 Ba
0.3832 0.2672 0.4425 Tl
0.8834 0.7198 0.5468 Tl
```

Energy of formation in eV per atom: -1.711
VASP energy in eV/atom: -5.170
Calculated volume in Å³ per cell: 336.9

The highest energy of formation belongs to which entry?
Ba2Tl2Zn3Sn4O12

The lowest VASP energy belongs to which entry?
BaSrZrSnO6

energy of formation of number 2 (BaSrSn2O6)?
-2.584 eV per atom

Which value of calculated volume does entry 3 give?
142.6 Å³ per cell